MgMn6O10F2 | PBE with a Hubbard U | optimized geometry

Cell lengths 5.1020, 5.7421, 7.5269 Å; angles 81.72, 84.26, 80.47 degrees
Element x y z (fractional)
Mg1 0.0000 0.0000 0.0000
Mn1 0.0202 0.9989 0.4939
Mn2 0.0740 0.3769 0.1846
Mn3 0.5054 0.1579 0.8155
Mn4 0.5132 0.4976 0.4830
Mn5 0.5182 0.8277 0.1717
Mn6 0.9824 0.6221 0.8060
O1 0.1539 0.3177 0.9231
O2 0.1709 0.0215 0.2406
O3 0.1909 0.6831 0.5824
O4 0.3780 0.5370 0.2584
O5 0.3816 0.2139 0.5843
O6 0.6253 0.1152 0.0563
O7 0.6535 0.7906 0.3891
O8 0.8607 0.3218 0.4095
O9 0.8608 0.9679 0.7446
O10 0.8654 0.6665 0.0637
F1 0.3508 0.8224 0.9338
F2 0.6633 0.4873 0.7235

Computed properties:
**Symmetry**: P1, No. 1
**Energy relative to the elements**: -2.10 eV per atom
**V**: 214.5 Å³/cell
**Relative energy among the computed polymorphs**: 58 kJ/mol of formula units

---

Li9Mn2Co5O16 | PBE with a Hubbard U | optimized geometry

Cell lengths 10.2109, 2.9035, 10.3092 Å; angles 90.00, 109.36, 90.00 degrees
Element x y z (fractional)
Li1 0.0000 0.0000 0.0000
Li2 0.0006 0.5000 0.7689
Li3 0.2446 0.5000 0.0084
Li4 0.2560 0.5000 0.5260
Li5 0.4997 0.0000 0.0175
Li6 0.5030 0.0000 0.5208
Li7 0.7406 0.5000 0.0024
Li8 0.7473 0.5000 0.5214
Li9 0.9912 0.0000 0.5295
Mn1 0.2416 0.0000 0.7698
Mn2 0.9986 0.5000 0.2667
Co1 0.2552 0.0000 0.2671
Co2 0.4982 0.5000 0.2662
Co3 0.5034 0.5000 0.7688
Co4 0.7435 0.0000 0.2662
Co5 0.7648 0.0000 0.7571
O1 0.1088 0.0000 0.3765
O2 0.1233 0.5000 0.1575
O3 0.1346 0.0000 0.8830
O4 0.1387 0.5000 0.6553
O5 0.3605 0.5000 0.8761
O6 0.3682 0.5000 0.3858
O7 0.3739 0.0000 0.6575
O8 0.3785 0.0000 0.1509
O9 0.6119 0.0000 0.8821
O10 0.6175 0.0000 0.3814
O11 0.6260 0.5000 0.1483
O12 0.6291 0.5000 0.6556
O13 0.8609 0.5000 0.8805
O14 0.8644 0.0000 0.6417
O15 0.8768 0.5000 0.3763
O16 0.8890 0.0000 0.1572

Computed properties:
**Symmetry**: Pm, No. 6
**Energy relative to the elements**: -1.80 eV per atom
**V**: 288.4 Å³/cell
**Relative energy among the computed polymorphs**: 185 kJ/mol of formula units